No. 1
Compound: LiFeP4O12
Source: the Materials Project
Functional: PBE+U
Structure: optimized geometry

Energy above the lowest structure with this stoichiometry ... 0.35 eV/f.u.

Lattice parameters (Å, degrees): 9.419 14.214 7.745 90.00 103.64 90.00
Space group Cc (No. 9)
One atom of each set of equivalent atoms:
Li  0.000  0.154  0.000 (multiplicity 4)
Fe  0.342  0.130  0.035 (multiplicity 4)
P  0.198  0.074  0.615 (multiplicity 4)
P  0.242  0.331  0.124 (multiplicity 4)
P  0.427  0.328  0.881 (multiplicity 4)
P  0.458  0.079  0.459 (multiplicity 4)
O  0.056  0.100  0.468 (multiplicity 4)
O  0.096  0.391  0.112 (multiplicity 4)
O  0.196  0.228  0.086 (multiplicity 4)
O  0.197  0.124  0.787 (multiplicity 4)
O  0.208  0.032  0.116 (multiplicity 4)
O  0.292  0.371  0.950 (multiplicity 4)
O  0.326  0.120  0.536 (multiplicity 4)
O  0.350  0.355  0.290 (multiplicity 4)
O  0.401  0.337  0.687 (multiplicity 4)
O  0.453  0.027  0.954 (multiplicity 4)
O  0.461  0.130  0.290 (multiplicity 4)
O  0.461  0.232  0.969 (multiplicity 4)

***

No. 2
Compound: Li3Co2O5
Source: the Materials Project
Functional: PBE+U
Structure: optimized geometry

Energy above the lowest structure with this stoichiometry ... 0.32 eV/f.u.

Lattice parameters (Å, degrees): 5.014 14.347 5.064 90.00 109.41 90.00
Space group C2/m (No. 12)
One atom of each set of equivalent atoms:
Li  0.000  0.000  0.000 (multiplicity 2)
Li  0.000  0.098  0.500 (multiplicity 4)
Li  0.000  0.302  0.500 (multiplicity 4)
Li  0.000  0.500  0.500 (multiplicity 2)
Co  0.000  0.196  0.000 (multiplicity 4)
Co  0.000  0.403  0.000 (multiplicity 4)
O  0.217  0.500  0.223 (multiplicity 4)
O  0.231  0.306  0.227 (multiplicity 8)
O  0.237  0.396  0.778 (multiplicity 8)

***

No. 3
Compound: LiFe4P4O16
Source: the Materials Project
Functional: PBE+U
Structure: optimized geometry

Energy above the lowest structure with this stoichiometry ... 0.00 eV/f.u.

Lattice parameters (Å, degrees): 4.870 5.981 10.120 90.17 90.92 90.23
Space group P1 (No. 1)
One atom of each set of equivalent atoms:
Li  0.000  0.000  0.000 (multiplicity 1)
Fe  0.039  0.259  0.285 (multiplicity 1)
Fe  0.472  0.262  0.776 (multiplicity 1)
Fe  0.528  0.755  0.229 (multiplicity 1)
Fe  0.958  0.757  0.723 (multiplicity 1)
P  0.089  0.759  0.405 (multiplicity 1)
P  0.431  0.762  0.910 (multiplicity 1)
P  0.583  0.257  0.102 (multiplicity 1)
P  0.905  0.256  0.602 (multiplicity 1)
O  0.161  0.759  0.549 (multiplicity 1)
O  0.214  0.255  0.630 (multiplicity 1)
O  0.229  0.557  0.327 (multiplicity 1)
O  0.233  0.959  0.327 (multiplicity 1)
O  0.271  0.244  0.121 (multiplicity 1)
O  0.278  0.969  0.846 (multiplicity 1)
O  0.302  0.557  0.836 (multiplicity 1)
O  0.339  0.762  0.057 (multiplicity 1)
O  0.666  0.255  0.956 (multiplicity 1)
O  0.720  0.456  0.181 (multiplicity 1)
O  0.741  0.054  0.171 (multiplicity 1)
O  0.743  0.777  0.902 (multiplicity 1)
O  0.753  0.058  0.672 (multiplicity 1)
O  0.757  0.456  0.673 (multiplicity 1)
O  0.779  0.761  0.376 (multiplicity 1)
O  0.854  0.257  0.451 (multiplicity 1)

***

No. 4
Compound: BaCaMnSnO6
Source: the Materials Project
Functional: PBE+U
Structure: optimized geometry

Lattice parameters (Å, degrees): 8.024 8.024 8.024 90.00 90.00 90.00
Space group F-43m (No. 216)
One atom of each set of equivalent atoms:
Ba  0.000  0.000  0.000 (multiplicity 4)
Ca  0.000  0.000  0.500 (multiplicity 4)
Mn  0.250  0.250  0.250 (multiplicity 4)
Sn  0.250  0.250  0.750 (multiplicity 4)
O  0.008  0.250  0.250 (multiplicity 24)

***

| no. | V (Å³ per atom) | formation energy (eV per formula unit) |
| --- | --- | --- |
| 1 | 14.00 | -45.55 |
| 2 | 8.59 | -17.10 |
| 3 | 11.79 | -58.74 |
| 4 | 12.91 | -24.29 |